No. 1
{
  "formula": "Li9Mn2Co5O16",
  "functional": "PBE with a Hubbard U",
  "state": "optimized geometry",
  "lattice": [[5.8284, 0.0000, 0.0000], [1.4571, 6.4565, 0.0000], [1.4329, 0.2007, 7.6696]],
  "species": ["O", "O", "O", "O", "O", "O", "O", "O", "O", "O", "O", "O", "O", "O", "O", "O", "Mn", "Mn", "Li", "Li", "Li", "Li", "Li", "Li", "Li", "Li", "Li", "Co", "Co", "Co", "Co", "Co"],
  "fractional_positions": [[0.7794, 0.5484, 0.3104], [0.5267, 0.0544, 0.8365], [0.2206, 0.4516, 0.6896], [0.7025, 0.4507, 0.6847], [0.4733, 0.9456, 0.1635], [0.0267, 0.0540, 0.8352], [0.1614, 0.2895, 0.0679], [0.1048, 0.1789, 0.4185], [0.8952, 0.8211, 0.5815], [0.6586, 0.2847, 0.0743], [0.9733, 0.9460, 0.1648], [0.5952, 0.1948, 0.4340], [0.3414, 0.7153, 0.9257], [0.2975, 0.5493, 0.3153], [0.4048, 0.8052, 0.5660], [0.8386, 0.7105, 0.9321], [0.7499, 0.9992, 0.0010], [0.2501, 0.0008, 0.9990], [0.9371, 0.3796, 0.8646], [0.4368, 0.3766, 0.8727], [0.0629, 0.6204, 0.1354], [0.1847, 0.8635, 0.3847], [0.3112, 0.1329, 0.6154], [0.6888, 0.8671, 0.3846], [0.8153, 0.1365, 0.6153], [0.0000, 0.5000, 0.5000], [0.5632, 0.6234, 0.1273], [0.5000, 0.5000, 0.5000], [0.1256, 0.7359, 0.7397], [0.6348, 0.7422, 0.7380], [0.3652, 0.2578, 0.2620], [0.8744, 0.2641, 0.2603]],
  "e_form_ev_per_atom": -1.81,
  "crystal_system": "triclinic",
  "polymorph_energy_mev_per_atom": 54,
  "corrected_energy_ev_per_atom": -6.5041
}

---

No. 2
{
  "formula": "Li32Mn3Cr13O48",
  "functional": "PBE with a Hubbard U",
  "state": "optimized geometry",
  "lattice": [[2.6882, -3.4484, -2.5029], [5.0763, -1.1710, 6.9884], [-14.3390, -12.3013, 4.8993]],
  "species": ["O", "O", "O", "O", "O", "O", "O", "O", "O", "O", "O", "O", "O", "O", "O", "O", "O", "O", "O", "O", "O", "O", "O", "O", "O", "O", "O", "O", "O", "O", "O", "O", "O", "O", "O", "O", "O", "O", "O", "O", "O", "O", "O", "O", "O", "O", "O", "O", "Li", "Li", "Li", "Li", "Li", "Li", "Li", "Li", "Li", "Li", "Li", "Li", "Li", "Li", "Li", "Li", "Li", "Li", "Li", "Li", "Li", "Li", "Li", "Li", "Li", "Li", "Li", "Li", "Li", "Li", "Li", "Li", "Cr", "Cr", "Cr", "Cr", "Cr", "Cr", "Cr", "Cr", "Cr", "Cr", "Cr", "Cr", "Cr", "Mn", "Mn", "Mn"],
  "fractional_positions": [[0.7805, 0.6402, 0.6808], [0.9681, 0.1051, 0.0688], [0.0685, 0.5729, 0.4320], [0.5400, 0.3976, 0.9316], [0.8192, 0.3229, 0.1829], [0.5769, 0.0748, 0.9320], [0.1678, 0.0353, 0.8185], [0.7833, 0.6402, 0.1810], [0.2882, 0.1442, 0.6811], [0.3180, 0.4645, 0.1817], [0.0320, 0.8924, 0.9309], [0.6830, 0.5351, 0.3191], [0.4665, 0.6084, 0.0691], [0.4265, 0.9294, 0.0668], [0.6735, 0.1782, 0.8178], [0.9318, 0.7874, 0.5683], [0.5732, 0.7138, 0.4307], [0.7170, 0.8526, 0.8185], [0.2833, 0.1460, 0.1815], [0.9323, 0.4231, 0.0680], [0.0739, 0.5736, 0.9318], [0.6762, 0.5353, 0.8190], [0.8229, 0.9622, 0.1808], [0.2161, 0.3571, 0.8195], [0.4284, 0.2881, 0.5697], [0.2178, 0.3590, 0.3190], [0.9685, 0.1075, 0.5695], [0.0815, 0.2144, 0.9315], [0.8264, 0.3212, 0.6824], [0.1758, 0.6772, 0.3180], [0.4321, 0.9261, 0.5672], [0.9243, 0.7847, 0.0685], [0.3183, 0.4649, 0.6813], [0.4332, 0.2902, 0.0691], [0.8156, 0.9595, 0.6812], [0.3178, 0.8276, 0.6823], [0.3247, 0.8262, 0.1816], [0.0325, 0.8932, 0.4306], [0.5674, 0.7146, 0.9308], [0.0801, 0.2146, 0.4313], [0.5756, 0.0717, 0.4327], [0.6732, 0.1745, 0.3181], [0.4664, 0.6086, 0.5682], [0.9289, 0.4266, 0.5682], [0.7099, 0.8531, 0.3185], [0.1815, 0.6772, 0.8177], [0.1710, 0.0365, 0.3187], [0.5325, 0.3957, 0.4314], [0.1261, 0.6231, 0.6246], [0.7524, 0.2501, 0.9999], [0.0088, 0.8312, 0.7507], [0.7570, 0.5800, 0.4995], [0.3772, 0.8767, 0.3751], [0.7544, 0.5782, 0.9992], [0.1244, 0.6244, 0.1250], [0.5003, 0.0022, 0.7502], [0.7526, 0.2486, 0.5002], [0.2604, 0.0792, 0.0002], [0.5068, 0.3296, 0.7498], [0.5088, 0.3307, 0.2500], [0.2481, 0.7489, 0.5001], [0.7391, 0.9207, 0.4993], [0.0056, 0.8315, 0.2505], [0.8723, 0.3735, 0.8747], [0.4956, 0.6704, 0.2505], [0.2623, 0.0822, 0.5007], [0.9893, 0.1680, 0.7493], [0.7400, 0.9204, 0.0002], [0.9996, 0.4998, 0.2503], [0.3744, 0.8745, 0.8748], [0.4980, 0.0002, 0.2500], [0.2517, 0.7512, 0.9997], [0.6243, 0.1242, 0.1248], [0.9901, 0.1692, 0.2495], [0.4903, 0.6687, 0.7503], [0.6244, 0.1256, 0.6253], [0.8761, 0.3759, 0.3753], [0.2426, 0.4203, 0.5007], [0.2441, 0.4196, 0.9997], [0.0053, 0.4994, 0.7497], [0.3754, 0.5460, 0.3749], [0.3757, 0.2125, 0.3756], [0.6316, 0.4552, 0.1261], [0.8819, 0.0395, 0.3748], [0.3691, 0.2117, 0.8754], [0.6180, 0.7895, 0.1240], [0.1178, 0.9547, 0.6245], [0.6192, 0.7944, 0.6238], [0.8770, 0.0375, 0.8749], [0.1153, 0.9586, 0.1237], [0.1345, 0.2952, 0.1266], [0.6309, 0.4573, 0.6256], [0.8713, 0.7039, 0.8747], [0.1288, 0.2908, 0.6260], [0.8727, 0.7081, 0.3742], [0.3763, 0.5420, 0.8754]],
  "e_form_ev_per_atom": -2.22,
  "crystal_system": "triclinic",
  "corrected_energy_ev_per_atom": -6.9256
}

---

No. 3
{
  "formula": "MgCo6O10F2",
  "functional": "PBE with a Hubbard U",
  "state": "optimized geometry",
  "lattice": [[4.8767, -0.3976, 0.0006], [-1.2154, 13.6753, 0.0004], [-0.0004, 0.0003, 2.9104]],
  "species": ["F", "F", "O", "O", "O", "O", "O", "O", "O", "O", "O", "O", "Co", "Co", "Co", "Co", "Co", "Co", "Mg"],
  "fractional_positions": [[0.6944, 0.7505, 0.4912], [0.1760, 0.2654, 0.4911], [0.3111, 0.1002, 0.9917], [0.2220, 0.7686, 0.9914], [0.6029, 0.9177, 0.9913], [0.3888, 0.4244, 0.9912], [0.8592, 0.4045, 0.4911], [0.3431, 0.5775, 0.4909], [0.7898, 0.5592, 0.9908], [0.8155, 0.0798, 0.4915], [0.0690, 0.9326, 0.4916], [0.6892, 0.2360, 0.9912], [0.9525, 0.0179, 0.9916], [0.3952, 0.8537, 0.4913], [0.5163, 0.1635, 0.4915], [0.5932, 0.4896, 0.4910], [0.1651, 0.6216, 0.9907], [0.0237, 0.3438, 0.9911], [0.8792, 0.8222, 0.9912]],
  "e_form_ev_per_atom": -1.39,
  "crystal_system": "monoclinic",
  "polymorph_energy_mev_per_atom": 0,
  "corrected_energy_ev_per_atom": -6.5260
}

---

No. 4
{
  "formula": "LiCoC2O6",
  "functional": "PBE with a Hubbard U",
  "state": "optimized geometry",
  "lattice": [[3.7875, 1.5721, 3.0443], [-8.5177, 3.9609, 4.0864], [-0.9814, -5.7475, 8.2217]],
  "species": ["C", "C", "C", "C", "C", "C", "C", "C", "O", "O", "O", "O", "O", "O", "O", "O", "O", "O", "O", "O", "O", "O", "O", "O", "O", "O", "O", "O", "O", "O", "O", "O", "Co", "Co", "Co", "Co", "Li", "Li", "Li", "Li"],
  "fractional_positions": [[0.1184, 0.5735, 0.1879], [0.8673, 0.1879, 0.0755], [0.1110, 0.0685, 0.6925], [0.8752, 0.9334, 0.3068], [0.1357, 0.3103, 0.4371], [0.1421, 0.8028, 0.9324], [0.8494, 0.4333, 0.8092], [0.8914, 0.6881, 0.5711], [0.1320, 0.6638, 0.5667], [0.2740, 0.3959, 0.4978], [0.8675, 0.0582, 0.6694], [0.2215, 0.2158, 0.3942], [0.7236, 0.9812, 0.3979], [0.7163, 0.4922, 0.8960], [0.7353, 0.6044, 0.5169], [0.2698, 0.5197, 0.1042], [0.2009, 0.6317, 0.2784], [0.8152, 0.7790, 0.6271], [0.0843, 0.4214, 0.8339], [0.7579, 0.3902, 0.7137], [0.7963, 0.8930, 0.2067], [0.8732, 0.5646, 0.1651], [0.1243, 0.1821, 0.0568], [0.9103, 0.8257, 0.9173], [0.1140, 0.9292, 0.3317], [0.2756, 0.0242, 0.6049], [0.6989, 0.0904, 0.0400], [0.7840, 0.2803, 0.1281], [0.9042, 0.3365, 0.4229], [0.2794, 0.8879, 0.9950], [0.2354, 0.7098, 0.8892], [0.1877, 0.1235, 0.7877], [0.0295, 0.0080, 0.9912], [0.0154, 0.5072, 0.4919], [0.9919, 0.9909, 0.5062], [0.9840, 0.4914, 0.0059], [0.3546, 0.3482, 0.7120], [0.6358, 0.7059, 0.8462], [0.6310, 0.2324, 0.3369], [0.3854, 0.8580, 0.1959]],
  "e_form_ev_per_atom": -1.75,
  "crystal_system": "triclinic",
  "polymorph_energy_mev_per_atom": 23,
  "corrected_energy_ev_per_atom": -7.4627
}

---

No. 5
{
  "formula": "Ca5Y7Al16Cr2Si2O48",
  "functional": "PBE with a Hubbard U",
  "state": "optimized geometry",
  "lattice": [[-7.7131, -6.8113, -2.2007], [9.2931, -4.2640, -2.4753], [-0.1552, 2.2926, 10.2470]],
  "species": ["Al", "Al", "Al", "Al", "Al", "Al", "Al", "Al", "Al", "Al", "Al", "Al", "Al", "Al", "Al", "Al", "O", "O", "O", "O", "O", "O", "O", "O", "O", "O", "O", "O", "O", "O", "O", "O", "O", "O", "O", "O", "O", "O", "O", "O", "O", "O", "O", "O", "O", "O", "O", "O", "O", "O", "O", "O", "O", "O", "O", "O", "O", "O", "O", "O", "O", "O", "O", "O", "Y", "Y", "Y", "Y", "Y", "Y", "Y", "Cr", "Cr", "Ca", "Ca", "Ca", "Ca", "Ca", "Si", "Si"],
  "fractional_positions": [[0.2468, 0.1213, 0.8735], [0.7433, 0.3731, 0.6237], [0.5016, 0.0020, 0.0021], [0.1239, 0.7503, 0.8778], [0.2539, 0.6263, 0.3758], [0.3770, 0.6267, 0.7485], [0.9997, 0.4986, 0.9986], [0.4990, 0.4978, 0.4992], [0.6212, 0.3733, 0.2491], [0.9971, 0.0048, 0.4998], [0.5024, 0.0033, 0.5090], [0.3711, 0.2440, 0.6214], [0.8760, 0.2507, 0.1204], [0.8750, 0.1246, 0.7502], [0.7505, 0.8811, 0.1254], [0.9950, 0.9930, 0.9932], [0.6136, 0.4202, 0.0988], [0.6907, 0.6793, 0.0788], [0.1793, 0.4787, 0.5999], [0.1796, 0.2023, 0.5833], [0.4171, 0.8201, 0.8019], [0.0216, 0.1961, 0.1225], [0.2981, 0.4779, 0.3805], [0.6818, 0.0964, 0.9836], [0.4001, 0.8217, 0.5215], [0.6100, 0.6988, 0.5044], [0.9993, 0.6935, 0.1085], [0.5929, 0.9129, 0.1155], [0.1223, 0.5975, 0.9183], [0.0854, 0.6959, 0.6802], [0.1010, 0.9830, 0.6733], [0.5773, 0.1802, 0.1963], [0.4160, 0.0965, 0.6176], [0.8918, 0.4056, 0.0843], [0.8085, 0.4229, 0.8209], [0.6797, 0.0761, 0.6955], [0.8014, 0.8841, 0.9820], [0.1180, 0.0071, 0.2015], [0.9232, 0.1223, 0.6030], [0.2056, 0.5824, 0.1806], [0.5152, 0.6199, 0.6911], [0.3098, 0.9146, 0.3022], [0.3044, 0.3236, 0.9248], [0.3202, 0.9008, 0.0247], [0.1044, 0.6199, 0.4257], [0.8064, 0.8065, 0.4129], [0.9057, 0.0222, 0.3193], [0.1968, 0.1174, 0.0200], [0.8199, 0.5134, 0.3985], [0.4937, 0.6078, 0.1926], [0.9851, 0.8044, 0.8828], [0.9027, 0.3891, 0.5832], [0.6900, 0.5117, 0.6067], [0.3766, 0.2966, 0.4774], [0.0859, 0.8869, 0.3940], [0.8809, 0.9834, 0.8043], [0.3825, 0.5801, 0.9012], [0.9257, 0.3112, 0.3218], [0.5749, 0.8869, 0.3822], [0.3950, 0.0750, 0.8830], [0.5934, 0.1742, 0.4789], [0.0231, 0.3197, 0.9034], [0.4755, 0.3793, 0.2971], [0.5105, 0.3999, 0.8193], [0.3761, 0.7494, 0.1223], [0.1225, 0.3734, 0.7504], [0.6292, 0.8807, 0.7578], [0.2550, 0.8804, 0.6293], [0.1234, 0.2496, 0.3771], [0.2441, 0.3699, 0.1261], [0.3782, 0.1247, 0.2512], [0.9958, 0.5012, 0.4996], [0.5095, 0.5007, 0.9979], [0.6318, 0.2519, 0.8750], [0.8734, 0.7511, 0.6262], [0.7487, 0.1241, 0.3743], [0.7562, 0.6286, 0.8706], [0.8784, 0.6213, 0.2460], [0.6263, 0.7528, 0.3775], [0.1255, 0.8734, 0.2511]],
  "e_form_ev_per_atom": -3.45,
  "crystal_system": "triclinic",
  "corrected_energy_ev_per_atom": -8.2327
}

---

No. 6
{
  "formula": "LiMnVP3O12",
  "functional": "PBE with a Hubbard U",
  "state": "optimized geometry",
  "lattice": [[-2.6595, -3.3734, -7.7741], [3.4873, -7.2487, 2.0419], [-4.6543, -6.9858, 0.3865]],
  "species": ["P", "P", "P", "P", "P", "P", "O", "O", "O", "O", "O", "O", "O", "O", "O", "O", "O", "O", "O", "O", "O", "O", "O", "O", "O", "O", "O", "O", "O", "O", "V", "V", "Mn", "Mn", "Li", "Li"],
  "fractional_positions": [[0.7496, 0.9581, 0.7848], [0.2453, 0.0443, 0.2197], [0.2580, 0.4697, 0.5000], [0.7521, 0.5305, 0.5015], [0.7514, 0.2487, 0.2073], [0.2499, 0.7501, 0.7933], [0.2739, 0.2669, 0.6247], [0.2510, 0.1311, 0.0082], [0.8964, 0.1642, 0.6014], [0.8248, 0.5272, 0.6434], [0.0912, 0.8452, 0.3903], [0.5806, 0.3681, 0.6443], [0.9109, 0.2178, 0.2472], [0.4302, 0.6336, 0.3481], [0.1850, 0.4770, 0.3565], [0.1791, 0.5325, 0.9996], [0.2600, 0.8927, 0.8543], [0.0973, 0.7747, 0.7366], [0.5760, 0.9755, 0.7938], [0.8226, 0.4604, 0.9924], [0.7356, 0.7363, 0.3829], [0.4144, 0.7716, 0.6110], [0.1156, 0.4937, 0.6750], [0.8099, 0.8221, 0.7002], [0.5893, 0.2332, 0.3840], [0.7455, 0.8822, 0.9908], [0.1859, 0.1877, 0.2931], [0.8967, 0.5066, 0.3260], [0.4169, 0.0223, 0.2100], [0.7371, 0.1009, 0.1512], [0.0507, 0.3538, 0.3132], [0.9513, 0.6518, 0.7037], [0.4345, 0.1379, 0.7109], [0.5691, 0.8617, 0.2791], [0.1376, 0.3295, 0.9361], [0.8742, 0.9258, 0.3742]],
  "e_form_ev_per_atom": -2.50,
  "crystal_system": "triclinic",
  "polymorph_energy_mev_per_atom": 5,
  "corrected_energy_ev_per_atom": -7.8194
}